Entry from the Materials Project database: Rb2SbAuI6 after structural relaxation (GGA-PBE).

Cell: 8.4952 8.4952 8.4952 Å, 60.00 60.00 60.00°
With the nearest neighbours (Å) after each atom.
Fractional coordinates of all 10 atoms:
Rb 0.2500 0.2500 0.2500  12 I 4.25
Rb 0.7500 0.7500 0.7500  12 I 4.25
Sb 0.0000 0.0000 0.0000  6 I 3.04
Au 0.5000 0.5000 0.5000  6 I 2.97
I 0.2530 0.2530 0.7470  1 Au 2.97, 1 Sb 3.04
I 0.2530 0.7470 0.2530  1 Au 2.97, 1 Sb 3.04
I 0.2530 0.7470 0.7470  1 Au 2.97, 1 Sb 3.04
I 0.7470 0.2530 0.2530  1 Au 2.97, 1 Sb 3.04
I 0.7470 0.2530 0.7470  1 Au 2.97, 1 Sb 3.04
I 0.7470 0.7470 0.2530  1 Au 2.97, 1 Sb 3.04

theoretical density: 4.792 g/cm3
formation energy from the elements: -939 meV/atom
E (MP2020): -2.79 eV per atom
crystal system: cubic



Entry from the Materials Project database: Rb2ScAuI6 after structural relaxation (GGA-PBE).

Cell: 8.3841 8.3841 8.3841 Å, 60.00 60.00 60.00°
With the nearest neighbours (Å) after each atom.
Fractional coordinates of all 10 atoms:
Rb 0.2500 0.2500 0.2500  12 I 4.19
Rb 0.7500 0.7500 0.7500  12 I 4.19
Sc 0.0000 0.0000 0.0000  6 I 2.91
Au 0.5000 0.5000 0.5000  6 I 3.02
I 0.2455 0.2455 0.7545  1 Sc 2.91, 1 Au 3.02
I 0.2455 0.7545 0.2455  1 Sc 2.91, 1 Au 3.02
I 0.2455 0.7545 0.7545  1 Sc 2.91, 1 Au 3.02
I 0.7545 0.2455 0.2455  1 Sc 2.91, 1 Au 3.02
I 0.7545 0.2455 0.7545  1 Sc 2.91, 1 Au 3.02
I 0.7545 0.7545 0.2455  1 Sc 2.91, 1 Au 3.02

theoretical density: 4.679 g/cm3
formation energy from the elements: -1253 meV/atom
E (MP2020): -3.32 eV per atom
crystal system: cubic



Entry from the Materials Project database: Rb2TlAuI6 after structural relaxation (GGA-PBE).

Cell: 8.5425 8.5425 8.5425 Å, 60.00 60.00 60.00°
With the nearest neighbours (Å) after each atom.
Fractional coordinates of all 10 atoms:
Rb 0.2500 0.2500 0.2500  12 I 4.27
Rb 0.7500 0.7500 0.7500  12 I 4.27
Tl 0.0000 0.0000 0.0000  6 I 3.14
Au 0.5000 0.5000 0.5000  6 I 2.90
I 0.2602 0.2602 0.7398  1 Au 2.90, 1 Tl 3.14
I 0.2602 0.7398 0.2602  1 Au 2.90, 1 Tl 3.14
I 0.2602 0.7398 0.7398  1 Au 2.90, 1 Tl 3.14
I 0.7398 0.2602 0.2602  1 Au 2.90, 1 Tl 3.14
I 0.7398 0.2602 0.7398  1 Au 2.90, 1 Tl 3.14
I 0.7398 0.7398 0.2602  1 Au 2.90, 1 Tl 3.14

theoretical density: 5.024 g/cm3
formation energy from the elements: -942 meV/atom
E (MP2020): -2.62 eV per atom
crystal system: cubic